*i*
Li5CoO4 | PBE with a Hubbard U | optimized geometry

a b c (Å): 9.192 9.204 9.205
angles (deg): 90.00 90.00 90.00
Space group Pbca (No. 61)
Inequivalent atoms, fractional coordinates:
Li 0.109 0.160 0.118 x8
Li 0.111 0.643 0.890 x8
Li 0.118 0.606 0.157 x8
Li 0.124 0.106 0.852 x8
Li 0.148 0.125 0.380 x8
Co 0.148 0.618 0.614 x8
O 0.007 0.746 0.536 x8
O 0.034 0.000 0.245 x8
O 0.247 0.741 0.746 x8
O 0.249 0.016 0.007 x8

*ii*
Li5CoO4 | PBE with a Hubbard U | optimized geometry

a b c (Å): 7.081 7.993 6.683
angles (deg): 90.00 90.00 90.00
Space group Pnnm (No. 58)
Inequivalent atoms, fractional coordinates:
Li 0.000 0.000 0.243 x4
Li 0.022 0.344 0.245 x8
Li 0.242 0.704 0.000 x4
Li 0.244 0.902 0.500 x4
Co 0.232 0.603 0.500 x4
O 0.023 0.763 0.500 x4
O 0.031 0.216 0.000 x4
O 0.218 0.524 0.240 x8

Which of them is the most stable, and which is the least stable? *i* and *ii*, in that order.

*i*
Li7Co2O6 | PBE with a Hubbard U | optimized geometry

a b c (Å): 5.289 5.352 5.847
angles (deg): 63.06 87.40 82.26
Space group P1 (No. 1)
Inequivalent atoms, fractional coordinates:
Li 0.000 0.000 0.000 x1
Li 0.024 0.474 0.662 x1
Li 0.388 0.846 0.752 x1
Li 0.481 0.282 0.973 x1
Li 0.695 0.229 0.637 x1
Li 0.778 0.583 0.982 x1
Li 0.844 0.948 0.437 x1
Co 0.192 0.336 0.313 x1
Co 0.499 0.708 0.312 x1
O 0.067 0.103 0.626 x1
O 0.111 0.367 0.004 x1
O 0.128 0.703 0.323 x1
O 0.566 0.305 0.300 x1
O 0.621 0.938 0.971 x1
O 0.644 0.601 0.656 x1

*ii*
Li7Co2O6 | PBE with a Hubbard U | optimized geometry

a b c (Å): 5.254 5.558 6.980
angles (deg): 108.26 92.26 117.52
Space group P1 (No. 1)
Inequivalent atoms, fractional coordinates:
Li 0.000 0.000 0.000 x1
Li 0.011 0.501 0.092 x1
Li 0.066 0.373 0.397 x1
Li 0.264 0.000 0.491 x1
Li 0.565 0.222 0.195 x1
Li 0.720 0.507 0.591 x1
Li 0.875 0.213 0.706 x1
Co 0.366 0.721 0.812 x1
Co 0.612 0.736 0.316 x1
O 0.014 0.654 0.863 x1
O 0.284 0.366 0.181 x1
O 0.307 0.382 0.637 x1
O 0.651 0.100 0.427 x1
O 0.692 0.067 0.920 x1
O 0.909 0.638 0.361 x1

*iii*
Li7Co2O6 | PBE with a Hubbard U | optimized geometry

a b c (Å): 12.061 5.125 9.980
angles (deg): 90.00 106.50 90.00
Space group C2/c (No. 15)
Inequivalent atoms, fractional coordinates:
Li 0.000 0.045 0.250 x4
Li 0.062 0.389 0.669 x8
Li 0.168 0.395 0.407 x8
Li 0.226 0.047 0.796 x8
Co 0.094 0.080 0.031 x8
O 0.101 0.245 0.870 x8
O 0.115 0.258 0.199 x8
O 0.172 0.226 0.586 x8

Which of them is the most stable, and which is the least stable? *i* and *iii*, in that order.

*i*
Li7Co2O6 | PBE with a Hubbard U | optimized geometry

a b c (Å): 5.277 5.592 5.762
angles (deg): 118.47 90.15 91.52
Space group P1 (No. 1)
Inequivalent atoms, fractional coordinates:
Li 0.000 0.000 0.000 x1
Li 0.015 0.513 0.800 x1
Li 0.060 0.451 0.371 x1
Li 0.353 0.705 0.145 x1
Li 0.433 0.195 0.202 x1
Li 0.753 0.390 0.012 x1
Li 0.834 0.913 0.376 x1
Co 0.286 0.095 0.675 x1
Co 0.579 0.704 0.686 x1
O 0.148 0.366 0.017 x1
O 0.164 0.068 0.344 x1
O 0.212 0.740 0.705 x1
O 0.652 0.059 0.710 x1
O 0.692 0.470 0.363 x1
O 0.701 0.736 0.003 x1

*ii*
Li7Co2O6 | PBE with a Hubbard U | optimized geometry

a b c (Å): 8.748 8.748 3.741
angles (deg): 90.00 90.00 90.00
Space group P-4n2 (No. 118)
Inequivalent atoms, fractional coordinates:
Li 0.000 0.000 0.000 x2
Li 0.112 0.175 0.288 x8
Li 0.156 0.344 0.750 x4
Co 0.116 0.616 0.250 x4
O 0.101 0.399 0.250 x4
O 0.115 0.830 0.220 x8

Which of them is the most stable, and which is the least stable? *i* and *ii*, in that order.

*i*
Li8Co5O10 | PBE with a Hubbard U | optimized geometry

a b c (Å): 10.110 3.597 14.335
angles (deg): 90.00 106.29 90.00
Space group Cm (No. 8)
Inequivalent atoms, fractional coordinates:
Li 0.000 0.000 0.000 x2
Li 0.000 0.000 0.172 x2
Li 0.050 0.500 0.685 x2
Li 0.054 0.500 0.508 x2
Li 0.064 0.500 0.905 x2
Li 0.066 0.500 0.295 x2
Li 0.489 0.500 0.389 x2
Li 0.490 0.500 0.784 x2
Co 0.270 0.000 0.640 x2
Co 0.275 0.000 0.841 x2
Co 0.276 0.000 0.444 x2
Co 0.277 0.000 0.243 x2
Co 0.284 0.000 0.047 x2
O 0.138 0.000 0.719 x2
O 0.141 0.000 0.322 x2
O 0.141 0.000 0.508 x2
O 0.141 0.000 0.917 x2
O 0.150 0.000 0.115 x2
O 0.402 0.000 0.563 x2
O 0.408 0.000 0.966 x2
O 0.412 0.000 0.376 x2
O 0.415 0.000 0.772 x2
O 0.421 0.000 0.173 x2

*ii*
Li8Co5O10 | PBE with a Hubbard U | optimized geometry

a b c (Å): 6.654 8.652 10.102
angles (deg): 105.89 103.37 104.53
Space group P-1 (No. 2)
Inequivalent atoms, fractional coordinates:
Li 0.058 0.167 0.050 x2
Li 0.124 0.658 0.582 x2
Li 0.155 0.551 0.334 x2
Li 0.223 0.034 0.866 x2
Li 0.271 0.964 0.630 x2
Li 0.345 0.450 0.169 x2
Li 0.377 0.341 0.913 x2
Li 0.438 0.830 0.447 x2
Co 0.000 0.500 0.000 x1
Co 0.103 0.903 0.303 x2
Co 0.206 0.304 0.609 x2
Co 0.293 0.693 0.892 x2
Co 0.397 0.098 0.199 x2
Co 0.500 0.500 0.500 x1
O 0.024 0.387 0.132 x2
O 0.096 0.005 0.147 x2
O 0.121 0.771 0.436 x2
O 0.208 0.460 0.493 x2
O 0.214 0.163 0.731 x2
O 0.293 0.539 0.007 x2
O 0.303 0.839 0.772 x2
O 0.378 0.220 0.069 x2
O 0.422 0.010 0.349 x2
O 0.474 0.610 0.367 x2

Which of them is the most stable, and which is the least stable? *ii* and *i*, in that order.

*i*
Li8Co5O10 | PBE with a Hubbard U | optimized geometry

a b c (Å): 10.066 3.625 14.311
angles (deg): 90.00 106.23 90.00
Space group C2/m (No. 12)
Inequivalent atoms, fractional coordinates:
Li 0.209 0.000 0.046 x4
Li 0.210 0.000 0.441 x4
Li 0.224 0.000 0.835 x4
Li 0.227 0.000 0.658 x4
Co 0.000 0.500 0.500 x2
Co 0.001 0.500 0.102 x4
Co 0.007 0.500 0.705 x4
O 0.127 0.500 0.224 x4
O 0.134 0.500 0.029 x4
O 0.136 0.500 0.432 x4
O 0.137 0.500 0.619 x4
O 0.142 0.500 0.834 x4

*ii*
Li8Co5O10 | PBE with a Hubbard U | optimized geometry

a b c (Å): 6.648 8.646 10.085
angles (deg): 112.67 103.37 94.82
Space group P-1 (No. 2)
Inequivalent atoms, fractional coordinates:
Li 0.045 0.169 0.059 x2
Li 0.076 0.449 0.257 x2
Li 0.182 0.341 0.645 x2
Li 0.189 0.031 0.541 x2
Li 0.310 0.961 0.947 x2
Li 0.313 0.658 0.853 x2
Li 0.420 0.550 0.245 x2
Li 0.450 0.832 0.447 x2
Co 0.000 0.500 0.000 x1
Co 0.099 0.097 0.298 x2
Co 0.188 0.694 0.592 x2
Co 0.309 0.306 0.907 x2
Co 0.400 0.902 0.201 x2
Co 0.500 0.500 0.500 x1
O 0.011 0.837 0.527 x2
O 0.095 0.771 0.778 x2
O 0.137 0.460 0.850 x2
O 0.186 0.387 0.079 x2
O 0.189 0.991 0.114 x2
O 0.313 0.610 0.421 x2
O 0.331 0.998 0.379 x2
O 0.364 0.537 0.649 x2
O 0.417 0.221 0.724 x2
O 0.494 0.160 0.963 x2

Which of them is the most stable, and which is the least stable? *ii* and *i*, in that order.